(1)
{
  "formula": "GdSi2Os2",
  "functional": "PBE",
  "state": "relaxed",
  "formation_enthalpy_0k_kcal_per_mol_atoms": -16.49,
  "final_energy_ev_per_cell": -50.96,
  "lattice_angstrom": [[-2.092, 2.092, 4.877], [2.092, -2.092, 4.877], [2.092, 2.092, -4.877]],
  "species": ["Gd", "Si", "Si", "Os", "Os"],
  "frac_coords": [[0.000, 0.000, 0.000], [0.371, 0.371, 0.000], [0.629, 0.629, 0.000], [0.250, 0.750, 0.500], [0.750, 0.250, 0.500]]
}

---

(2)
{
  "formula": "CeYNi4",
  "functional": "PBE",
  "state": "relaxed",
  "formation_enthalpy_0k_kcal_per_mol_atoms": -8.75,
  "final_energy_ev_per_cell": -37.80,
  "lattice_angstrom": [[0.000, 3.591, 3.591], [3.591, 0.000, 3.591], [3.591, 3.591, 0.000]],
  "species": ["Ce", "Y", "Ni", "Ni", "Ni", "Ni"],
  "frac_coords": [[0.000, 0.000, 0.000], [0.250, 0.250, 0.250], [0.125, 0.625, 0.625], [0.625, 0.125, 0.625], [0.625, 0.625, 0.125], [0.625, 0.625, 0.625]]
}

---

(3)
{
  "formula": "HoTe",
  "functional": "PBE",
  "state": "relaxed",
  "formation_enthalpy_0k_kcal_per_mol_atoms": -33.48,
  "final_energy_ev_per_cell": -10.21,
  "lattice_angstrom": [[0.000, 3.066, 3.066], [3.066, 0.000, 3.066], [3.066, 3.066, 0.000]],
  "species": ["Ho", "Te"],
  "frac_coords": [[0.000, 0.000, 0.000], [0.500, 0.500, 0.500]]
}

---

(4)
{
  "formula": "TcBr3",
  "functional": "PBE",
  "state": "relaxed",
  "formation_enthalpy_0k_kcal_per_mol_atoms": -18.19,
  "final_energy_ev_per_cell": -67.30,
  "lattice_angstrom": [[6.057, 0.000, 0.000], [0.000, 12.306, 0.000], [0.000, 0.000, 7.113]],
  "species": ["Tc", "Tc", "Tc", "Tc", "Br", "Br", "Br", "Br", "Br", "Br", "Br", "Br", "Br", "Br", "Br", "Br"],
  "frac_coords": [[0.027, 0.250, 0.246], [0.473, 0.250, 0.246], [0.527, 0.750, 0.754], [0.973, 0.750, 0.754], [0.250, 0.098, 0.395], [0.250, 0.250, 0.944], [0.250, 0.402, 0.395], [0.250, 0.614, 0.890], [0.250, 0.750, 0.481], [0.250, 0.886, 0.890], [0.750, 0.114, 0.110], [0.750, 0.250, 0.519], [0.750, 0.386, 0.110], [0.750, 0.598, 0.605], [0.750, 0.750, 0.056], [0.750, 0.902, 0.605]]
}

---

(5)
{
  "formula": "TbAl7Fe5",
  "functional": "PBE",
  "state": "relaxed",
  "formation_enthalpy_0k_kcal_per_mol_atoms": -9.09,
  "final_energy_ev_per_cell": -78.33,
  "lattice_angstrom": [[-2.509, 4.341, 4.319], [2.509, -4.341, 4.319], [2.509, 4.341, -4.319]],
  "species": ["Tb", "Al", "Al", "Al", "Al", "Al", "Al", "Al", "Fe", "Fe", "Fe", "Fe", "Fe"],
  "frac_coords": [[0.000, 0.000, 0.000], [0.212, 0.501, 0.711], [0.231, 0.731, 0.500], [0.345, 0.345, 0.000], [0.356, 0.013, 0.343], [0.665, 0.665, 0.000], [0.671, 0.013, 0.657], [0.789, 0.501, 0.289], [0.006, 0.004, 0.498], [0.006, 0.508, 0.002], [0.506, 0.004, 0.998], [0.506, 0.508, 0.502], [0.769, 0.269, 0.500]]
}

---

(6)
{
  "formula": "BaCeInSbO6",
  "functional": "PBE",
  "state": "relaxed",
  "formation_enthalpy_0k_kcal_per_mol_atoms": -60.43,
  "final_energy_ev_per_cell": -66.50,
  "lattice_angstrom": [[0.000, 4.281, 4.281], [4.281, 0.000, 4.281], [4.281, 4.281, 0.000]],
  "species": ["Ba", "Ce", "In", "Sb", "O", "O", "O", "O", "O", "O"],
  "frac_coords": [[0.000, 0.000, 0.000], [0.250, 0.250, 0.250], [0.500, 0.500, 0.500], [0.750, 0.750, 0.750], [0.513, 0.513, 0.987], [0.513, 0.987, 0.513], [0.513, 0.987, 0.987], [0.987, 0.513, 0.513], [0.987, 0.513, 0.987], [0.987, 0.987, 0.513]]
}